Record 1
{
  "formula": "LiMn2B8O14",
  "functional": "PBE+U",
  "state": "relaxed",
  "cell": [[-0.342, 1.895, -4.888], [-6.356, -1.298, -0.058], [1.675, 5.882, 2.163]],
  "species": ["O", "O", "B", "O", "B", "O", "Li", "B", "O", "O", "Mn", "O", "B", "O", "O", "B", "B", "O", "O", "B", "B", "O", "O", "Mn", "O"],
  "fractional_positions": [[0.474, 0.805, 0.538], [0.250, 0.885, 0.885], [0.996, 0.707, 0.288], [0.474, 0.538, 0.805], [0.750, 0.331, 0.093], [0.750, 0.110, 0.110], [0.250, 0.546, 0.546], [0.250, 0.673, 0.920], [0.026, 0.538, 0.805], [0.250, 0.756, 0.183], [0.250, 0.208, 0.208], [0.526, 0.462, 0.188], [0.996, 0.288, 0.707], [0.974, 0.188, 0.462], [0.250, 0.183, 0.756], [0.750, 0.093, 0.331], [0.250, 0.920, 0.673], [0.026, 0.805, 0.538], [0.750, 0.814, 0.241], [0.504, 0.288, 0.707], [0.504, 0.707, 0.288], [0.974, 0.462, 0.188], [0.750, 0.241, 0.814], [0.750, 0.796, 0.796], [0.526, 0.188, 0.462]],
  "final_energy_ha_per_atom": -0.2824,
  "total_magnetization_mub_per_fu": 9.00,
  "e_form_ev_per_atom": -2.4838,
  "sg": "Amm2"
}

=====

Record 2
{
  "formula": "LiMn2B2O6",
  "functional": "PBE+U",
  "state": "relaxed",
  "cell": [[4.594, 7.838, 0.000], [-4.594, 7.838, 0.000], [0.000, 0.080, 10.472]],
  "species": ["Mn", "Mn", "O", "O", "O", "O", "B", "O", "Li", "O", "O", "O", "O", "B", "B", "O", "B", "O", "O", "Li", "O", "B", "O", "B", "O", "O", "Mn", "B", "O", "Mn", "O", "O", "O", "Li", "O", "B", "O", "Mn", "O", "Mn", "Mn", "O", "O", "Mn", "O", "Mn", "Mn", "B", "O", "O", "Mn", "Li", "O", "O", "B", "O", "B", "O", "Li", "Mn", "Li", "O", "B", "O", "O", "O"],
  "fractional_positions": [[0.070, 0.357, 0.379], [0.298, 0.598, 0.107], [0.316, 0.800, 0.193], [0.783, 0.707, 0.146], [0.971, 0.620, 0.431], [0.450, 0.046, 0.663], [0.695, 0.413, 0.357], [0.620, 0.971, 0.931], [0.698, 0.716, 0.824], [0.945, 0.352, 0.934], [0.700, 0.039, 0.574], [0.718, 0.086, 0.158], [0.356, 0.464, 0.652], [0.702, 0.062, 0.892], [0.413, 0.695, 0.857], [0.949, 0.571, 0.810], [0.622, 0.953, 0.627], [0.039, 0.700, 0.074], [0.602, 0.231, 0.852], [0.964, 0.946, 0.584], [0.596, 0.581, 0.360], [0.250, 0.961, 0.134], [0.066, 0.083, 0.624], [0.953, 0.622, 0.127], [0.581, 0.596, 0.860], [0.464, 0.356, 0.152], [0.335, 0.747, 0.375], [0.412, 0.042, 0.370], [0.231, 0.602, 0.352], [0.330, 0.925, 0.623], [0.872, 0.995, 0.895], [0.862, 0.338, 0.304], [0.995, 0.872, 0.395], [0.405, 0.365, 0.331], [0.338, 0.862, 0.804], [0.258, 0.629, 0.625], [0.721, 0.326, 0.063], [0.747, 0.335, 0.875], [0.211, 0.325, 0.868], [0.925, 0.330, 0.123], [0.045, 0.747, 0.866], [0.800, 0.316, 0.693], [0.303, 0.641, 0.906], [0.597, 0.949, 0.121], [0.707, 0.783, 0.646], [0.747, 0.045, 0.366], [0.357, 0.070, 0.879], [0.961, 0.250, 0.634], [0.326, 0.721, 0.563], [0.083, 0.066, 0.124], [0.598, 0.298, 0.607], [0.365, 0.405, 0.831], [0.001, 0.366, 0.578], [0.325, 0.211, 0.368], [0.042, 0.412, 0.870], [0.366, 0.001, 0.078], [0.062, 0.702, 0.392], [0.352, 0.945, 0.434], [0.946, 0.964, 0.084], [0.949, 0.597, 0.621], [0.716, 0.698, 0.324], [0.086, 0.718, 0.658], [0.629, 0.258, 0.125], [0.046, 0.450, 0.163], [0.571, 0.949, 0.310], [0.641, 0.303, 0.406]],
  "final_energy_ha_per_atom": -0.2758,
  "total_magnetization_mub_per_fu": 9.00,
  "e_form_ev_per_atom": -2.4302,
  "sg": "Cc"
}

=====

Record 3
{
  "formula": "Li2Mn3B3O9",
  "functional": "PBE+U",
  "state": "relaxed",
  "cell": [[6.215, 0.000, 0.000], [-1.301, 7.676, 0.000], [-2.738, -3.564, 7.921]],
  "species": ["O", "Li", "B", "O", "B", "O", "B", "Mn", "O", "O", "O", "Li", "O", "Mn", "O", "Mn", "O", "B", "O", "O", "Mn", "B", "O", "O", "Li", "Li", "Mn", "Mn", "O", "O", "O", "O", "O", "B"],
  "fractional_positions": [[0.284, 0.164, 0.477], [0.687, 0.994, 0.115], [0.033, 0.297, 0.105], [0.666, 0.491, 0.138], [0.641, 0.361, 0.210], [0.515, 0.819, 0.880], [0.260, 0.031, 0.549], [0.605, 0.368, 0.875], [0.400, 0.083, 0.717], [0.100, 0.774, 0.068], [0.112, 0.848, 0.449], [0.000, 0.660, 0.220], [0.716, 0.836, 0.523], [0.036, 0.293, 0.438], [0.183, 0.476, 0.196], [0.964, 0.707, 0.562], [0.485, 0.181, 0.120], [0.967, 0.703, 0.895], [0.817, 0.524, 0.804], [0.208, 0.579, 0.621], [0.395, 0.632, 0.125], [0.740, 0.969, 0.451], [0.600, 0.917, 0.283], [0.334, 0.509, 0.862], [0.313, 0.006, 0.885], [0.000, 0.340, 0.780], [0.306, 0.055, 0.237], [0.694, 0.945, 0.763], [0.002, 0.178, 0.191], [0.998, 0.822, 0.809], [0.900, 0.226, 0.932], [0.792, 0.421, 0.379], [0.888, 0.152, 0.551], [0.359, 0.639, 0.790]],
  "final_energy_ha_per_atom": -0.2732,
  "total_magnetization_mub_per_fu": 14.00,
  "e_form_ev_per_atom": -2.4528,
  "sg": "P-1"
}

=====

Record 4
{
  "formula": "Li5Mn6B6O18",
  "functional": "PBE+U",
  "state": "relaxed",
  "cell": [[6.377, 8.239, 0.000], [-6.377, 8.239, 0.000], [0.000, 4.130, 7.193]],
  "species": ["Mn", "Mn", "O", "O", "O", "O", "O", "Li", "O", "Li", "O", "Li", "O", "B", "O", "Li", "Mn", "O", "Mn", "Mn", "O", "O", "O", "B", "O", "Li", "B", "B", "Mn", "Mn", "Li", "O", "O", "Li", "O", "B", "B", "O", "O", "Mn", "B", "O", "O", "Mn", "B", "Li", "O", "B", "O", "B", "Mn", "O", "O", "O", "O", "O", "O", "Mn", "O", "B", "Li", "O", "O", "O", "Li", "O", "Mn", "B", "O", "O"],
  "fractional_positions": [[0.816, 0.568, 0.003], [0.568, 0.816, 0.003], [0.247, 0.755, 0.527], [0.389, 0.885, 0.221], [0.942, 0.698, 0.204], [0.885, 0.389, 0.221], [0.462, 0.217, 0.876], [0.274, 0.775, 0.984], [0.755, 0.247, 0.527], [0.487, 0.982, 0.298], [0.638, 0.638, 0.214], [0.366, 0.366, 0.713], [0.483, 0.483, 0.247], [0.455, 0.959, 0.669], [0.906, 0.400, 0.583], [0.116, 0.616, 0.720], [0.681, 0.430, 0.622], [0.353, 0.602, 0.909], [0.176, 0.931, 0.629], [0.931, 0.176, 0.629], [0.467, 0.183, 0.179], [0.183, 0.467, 0.179], [0.973, 0.689, 0.906], [0.745, 0.004, 0.010], [0.400, 0.906, 0.583], [0.025, 0.025, 0.982], [0.250, 0.509, 0.990], [0.509, 0.250, 0.990], [0.756, 0.005, 0.374], [0.005, 0.756, 0.374], [0.735, 0.735, 0.297], [0.651, 0.651, 0.579], [0.138, 0.138, 0.214], [0.526, 0.526, 0.976], [0.698, 0.942, 0.204], [0.707, 0.707, 0.660], [0.205, 0.205, 0.678], [0.982, 0.982, 0.260], [0.846, 0.098, 0.923], [0.252, 0.499, 0.357], [0.793, 0.289, 0.334], [0.919, 0.413, 0.861], [0.217, 0.462, 0.876], [0.318, 0.069, 0.019], [0.043, 0.043, 0.332], [0.982, 0.487, 0.298], [0.602, 0.353, 0.909], [0.959, 0.455, 0.669], [0.736, 0.229, 0.257], [0.004, 0.745, 0.010], [0.499, 0.252, 0.357], [0.301, 0.301, 0.557], [0.501, 0.501, 0.519], [0.229, 0.736, 0.257], [0.006, 0.006, 0.523], [0.098, 0.846, 0.923], [0.556, 0.053, 0.559], [0.430, 0.681, 0.622], [0.413, 0.919, 0.861], [0.541, 0.541, 0.326], [0.775, 0.274, 0.984], [0.667, 0.667, 0.851], [0.141, 0.141, 0.617], [0.689, 0.973, 0.906], [0.616, 0.116, 0.720], [0.053, 0.556, 0.559], [0.069, 0.318, 0.019], [0.289, 0.793, 0.334], [0.803, 0.803, 0.542], [0.170, 0.170, 0.869]],
  "final_energy_ha_per_atom": -0.2706,
  "total_magnetization_mub_per_fu": 29.00,
  "e_form_ev_per_atom": -2.4702,
  "sg": "Cm"
}